MnN | PBE-GGA | optimized geometry

abc: 2.531 2.531 2.531
angles: 90.00 90.00 90.00
Fractional coordinates of all 2 atoms:
Mn: 0.000 0.000 0.000
N: 0.500 0.500 0.500

**Final energy**: -8.324 eV per atom
**Calculated volume**: 8.1 A^3/atom
**Total magnetization**: 1.82 μB per formula unit
**ΔH_f (0 K)**: 0.245 eV/atom